1.
# KNaMg2Si4O10F2, relaxed, DFT GGA-PBE
# space-group type	C2/m
# magnetization	0.00	μB per cell
# energy	-6.868	eV/atom
data_KNaMg2Si4O10F2
_symmetry_space_group_name_H-M 'P 1'
_symmetry_Int_Tables_number 1
_cell_length_a 5.310
_cell_length_b 5.310
_cell_length_c 10.429
_cell_angle_alpha 84.31
_cell_angle_beta 84.31
_cell_angle_gamma 119.49
loop_
_symmetry_equiv_pos_as_xyz
'x,y,z'
loop_
_atom_site_label
_atom_site_fract_x
_atom_site_fract_y
_atom_site_fract_z
O1 0.948 0.948 0.171
O2 0.061 0.556 0.839
O3 0.052 0.052 0.829
O4 0.322 0.959 0.617
O5 0.556 0.061 0.839
O6 0.041 0.678 0.383
O7 0.444 0.939 0.161
O8 0.678 0.041 0.383
O9 0.959 0.322 0.617
O10 0.939 0.444 0.161
Si1 0.089 0.749 0.227
Si2 0.911 0.251 0.773
Si3 0.251 0.911 0.773
Si4 0.749 0.089 0.227
F1 0.595 0.595 0.607
F2 0.405 0.405 0.393
K1 0.500 0.500 0.000
Mg1 0.334 0.666 0.500
Mg2 0.666 0.334 0.500
Na1 0.000 0.000 0.500

=====

2.
# U2CuP2H24O24, relaxed, DFT GGA-PBE
# space-group type	P4/nnc
# magnetization	2.86	μB per cell
# energy	-5.994	eV/atom
data_U2CuP2H24O24
_symmetry_space_group_name_H-M 'P 1'
_symmetry_Int_Tables_number 1
_cell_length_a 7.048
_cell_length_b 7.048
_cell_length_c 21.100
_cell_angle_alpha 90.00
_cell_angle_beta 90.00
_cell_angle_gamma 90.00
loop_
_symmetry_equiv_pos_as_xyz
'x,y,z'
loop_
_atom_site_label
_atom_site_fract_x
_atom_site_fract_y
_atom_site_fract_z
H1 0.084 0.345 0.030
H2 0.155 0.584 0.470
H3 0.351 0.660 0.915
H4 0.416 0.155 0.470
H5 0.916 0.345 0.970
H6 0.084 0.655 0.970
H7 0.916 0.655 0.030
H8 0.345 0.916 0.030
H9 0.178 0.597 0.873
H10 0.340 0.649 0.085
H11 0.903 0.678 0.627
H12 0.845 0.416 0.470
H13 0.660 0.351 0.085
H14 0.851 0.840 0.415
H15 0.649 0.340 0.915
H16 0.660 0.649 0.915
H17 0.097 0.322 0.627
H18 0.840 0.149 0.415
H19 0.584 0.155 0.530
H20 0.822 0.597 0.127
H21 0.097 0.678 0.373
H22 0.345 0.084 0.970
H23 0.845 0.584 0.530
H24 0.655 0.084 0.030
H25 0.403 0.822 0.127
H26 0.322 0.903 0.627
H27 0.840 0.851 0.585
H28 0.678 0.097 0.627
H29 0.416 0.845 0.530
H30 0.403 0.178 0.873
H31 0.322 0.097 0.373
H32 0.351 0.340 0.085
H33 0.678 0.903 0.373
H34 0.160 0.149 0.585
H35 0.649 0.660 0.085
H36 0.160 0.851 0.415
H37 0.149 0.160 0.415
H38 0.149 0.840 0.585
H39 0.822 0.403 0.873
H40 0.178 0.403 0.127
H41 0.340 0.351 0.915
H42 0.597 0.822 0.873
H43 0.155 0.416 0.530
H44 0.597 0.178 0.127
H45 0.655 0.916 0.970
H46 0.903 0.322 0.373
H47 0.584 0.845 0.470
H48 0.851 0.160 0.585
O1 0.235 0.423 0.085
O2 0.577 0.765 0.915
O3 0.077 0.265 0.585
O4 0.462 0.827 0.706
O5 0.327 0.962 0.206
O6 0.923 0.265 0.415
O7 0.273 0.000 0.000
O8 0.500 0.500 0.377
O9 0.735 0.077 0.585
O10 0.538 0.827 0.294
O11 0.000 0.000 0.295
O12 0.173 0.462 0.706
O13 0.265 0.077 0.415
O14 0.227 0.500 0.500
O15 0.765 0.423 0.915
O16 0.000 0.727 0.000
O17 0.827 0.462 0.294
O18 0.773 0.500 0.500
O19 0.500 0.500 0.205
O20 0.827 0.538 0.706
O21 0.962 0.327 0.794
O22 0.735 0.923 0.415
O23 0.673 0.038 0.206
O24 0.000 0.000 0.705
O25 0.423 0.765 0.085
O26 0.000 0.000 0.123
O27 0.500 0.773 0.500
O28 0.765 0.577 0.085
O29 0.923 0.735 0.585
O30 0.000 0.273 0.000
O31 0.235 0.577 0.915
O32 0.077 0.735 0.415
O33 0.962 0.673 0.206
O34 0.538 0.173 0.706
O35 0.500 0.500 0.795
O36 0.673 0.962 0.794
O37 0.327 0.038 0.794
O38 0.000 0.000 0.877
O39 0.038 0.327 0.206
O40 0.577 0.235 0.085
O41 0.727 0.000 0.000
O42 0.265 0.923 0.585
O43 0.500 0.500 0.623
O44 0.173 0.538 0.294
O45 0.462 0.173 0.294
O46 0.500 0.227 0.500
O47 0.038 0.673 0.794
O48 0.423 0.235 0.915
P1 0.500 0.000 0.250
P2 0.000 0.500 0.250
P3 0.500 0.000 0.750
P4 0.000 0.500 0.750
U1 0.500 0.500 0.709
U2 0.000 0.000 0.209
U3 0.000 0.000 0.791
U4 0.500 0.500 0.291
Cu1 0.000 0.000 0.000
Cu2 0.500 0.500 0.500

=====

3.
# LiAlGe, relaxed, DFT GGA-PBE
# space-group type	F-43m
# magnetization	0.00	μB per cell
# energy	-3.377	eV/atom
data_LiAlGe
_symmetry_space_group_name_H-M 'P 1'
_symmetry_Int_Tables_number 1
_cell_length_a 4.159
_cell_length_b 4.159
_cell_length_c 4.159
_cell_angle_alpha 60.00
_cell_angle_beta 60.00
_cell_angle_gamma 60.00
loop_
_symmetry_equiv_pos_as_xyz
'x,y,z'
loop_
_atom_site_label
_atom_site_fract_x
_atom_site_fract_y
_atom_site_fract_z
Al1 0.000 0.000 0.000
Li1 0.750 0.750 0.750
Ge1 0.500 0.500 0.500

=====

4.
# Sb2BrF15, relaxed, DFT GGA-PBE
# relative energy among the computed polymorphs	0.00	eV per formula unit
# space-group type	P2_1/c
# magnetization	0.00	μB per cell
# energy	-3.932	eV/atom
data_Sb2BrF15
_symmetry_space_group_name_H-M 'P 1'
_symmetry_Int_Tables_number 1
_cell_length_a 14.872
_cell_length_b 5.377
_cell_length_c 14.589
_cell_angle_alpha 88.00
_cell_angle_beta 90.00
_cell_angle_gamma 90.00
loop_
_symmetry_equiv_pos_as_xyz
'x,y,z'
loop_
_atom_site_label
_atom_site_fract_x
_atom_site_fract_y
_atom_site_fract_z
F1 0.425 0.954 0.393
F2 0.855 0.636 0.122
F3 0.858 0.197 0.247
F4 0.754 0.398 0.937
F5 0.575 0.046 0.607
F6 0.756 0.096 0.589
F7 0.337 0.465 0.915
F8 0.856 0.810 0.927
F9 0.558 0.105 0.090
F10 0.564 0.356 0.427
F11 0.246 0.602 0.063
F12 0.064 0.644 0.073
F13 0.929 0.422 0.429
F14 0.163 0.465 0.415
F15 0.645 0.636 0.622
F16 0.925 0.046 0.107
F17 0.442 0.895 0.910
F18 0.070 0.210 0.741
F19 0.930 0.790 0.259
F20 0.936 0.356 0.927
F21 0.940 0.668 0.769
F22 0.747 0.698 0.284
F23 0.144 0.190 0.073
F24 0.837 0.535 0.585
F25 0.247 0.302 0.216
F26 0.746 0.398 0.437
F27 0.254 0.602 0.563
F28 0.145 0.364 0.878
F29 0.658 0.977 0.938
F30 0.429 0.578 0.071
F31 0.256 0.904 0.911
F32 0.831 0.251 0.781
F33 0.244 0.904 0.411
F34 0.142 0.803 0.753
F35 0.358 0.803 0.253
F36 0.331 0.749 0.719
F37 0.060 0.332 0.231
F38 0.342 0.023 0.062
F39 0.355 0.364 0.378
F40 0.253 0.302 0.716
F41 0.169 0.749 0.219
F42 0.744 0.096 0.089
F43 0.430 0.210 0.241
F44 0.642 0.197 0.747
F45 0.436 0.644 0.573
F46 0.075 0.954 0.893
F47 0.570 0.790 0.759
F48 0.571 0.422 0.929
F49 0.440 0.332 0.731
F50 0.158 0.023 0.562
F51 0.753 0.698 0.784
F52 0.942 0.105 0.590
F53 0.663 0.535 0.085
F54 0.058 0.895 0.410
F55 0.071 0.578 0.571
F56 0.669 0.251 0.281
F57 0.842 0.977 0.438
F58 0.644 0.810 0.427
F59 0.560 0.668 0.269
F60 0.356 0.190 0.573
Sb1 0.853 0.535 0.851
Sb2 0.147 0.748 0.486
Sb3 0.353 0.748 0.986
Sb4 0.147 0.465 0.149
Sb5 0.647 0.252 0.014
Sb6 0.353 0.465 0.649
Sb7 0.647 0.535 0.351
Sb8 0.853 0.252 0.514
Br1 0.651 0.915 0.685
Br2 0.349 0.085 0.315
Br3 0.849 0.915 0.185
Br4 0.151 0.085 0.815

=====

5.
# As4C3, relaxed, DFT GGA-PBE
# space-group type	P-43m
# magnetization	0.00	μB per cell
# energy	-5.744	eV/atom
data_As4C3
_symmetry_space_group_name_H-M 'P 1'
_symmetry_Int_Tables_number 1
_cell_length_a 4.608
_cell_length_b 4.608
_cell_length_c 4.608
_cell_angle_alpha 90.00
_cell_angle_beta 90.00
_cell_angle_gamma 90.00
loop_
_symmetry_equiv_pos_as_xyz
'x,y,z'
loop_
_atom_site_label
_atom_site_fract_x
_atom_site_fract_y
_atom_site_fract_z
C1 0.000 0.500 0.000
C2 0.000 0.000 0.500
C3 0.500 0.000 0.000
As1 0.728 0.728 0.728
As2 0.728 0.272 0.272
As3 0.272 0.728 0.272
As4 0.272 0.272 0.728

=====

6.
# Ho2Fe12P7, relaxed, DFT GGA-PBE
# space-group type	P-6
# magnetization	1.39	μB per cell
# energy	-7.791	eV/atom
data_Ho2Fe12P7
_symmetry_space_group_name_H-M 'P 1'
_symmetry_Int_Tables_number 1
_cell_length_a 8.968
_cell_length_b 8.968
_cell_length_c 3.636
_cell_angle_alpha 90.00
_cell_angle_beta 90.00
_cell_angle_gamma 120.00
loop_
_symmetry_equiv_pos_as_xyz
'x,y,z'
loop_
_atom_site_label
_atom_site_fract_x
_atom_site_fract_y
_atom_site_fract_z
Fe1 0.715 0.949 0.500
Fe2 0.546 0.115 0.500
Fe3 0.786 0.178 0.000
Fe4 0.051 0.766 0.500
Fe5 0.822 0.608 0.000
Fe6 0.570 0.454 0.500
Fe7 0.611 0.706 0.000
Fe8 0.392 0.214 0.000
Fe9 0.294 0.905 0.000
Fe10 0.095 0.389 0.000
Fe11 0.885 0.430 0.500
Fe12 0.234 0.285 0.500
Ho1 0.333 0.667 0.500
Ho2 0.000 0.000 0.000
P1 0.667 0.333 0.000
P2 0.371 0.448 0.000
P3 0.779 0.735 0.500
P4 0.552 0.923 0.000
P5 0.077 0.629 0.000
P6 0.956 0.221 0.500
P7 0.265 0.044 0.500

=====

7.
# Ca2B8H2O15, relaxed, DFT GGA-PBE
# space-group type	P-1
# magnetization	0.00	μB per cell
# energy	-7.582	eV/atom
data_Ca2B8H2O15
_symmetry_space_group_name_H-M 'P 1'
_symmetry_Int_Tables_number 1
_cell_length_a 6.511
_cell_length_b 9.412
_cell_length_c 10.099
_cell_angle_alpha 116.83
_cell_angle_beta 90.43
_cell_angle_gamma 99.26
loop_
_symmetry_equiv_pos_as_xyz
'x,y,z'
loop_
_atom_site_label
_atom_site_fract_x
_atom_site_fract_y
_atom_site_fract_z
O1 0.349 0.693 0.896
O2 0.950 0.516 0.151
O3 0.301 0.909 0.137
O4 0.971 0.082 0.269
O5 0.787 0.680 0.590
O6 0.714 0.553 0.825
O7 0.029 0.918 0.731
O8 0.999 0.759 0.952
O9 0.286 0.447 0.175
O10 0.831 0.904 0.522
O11 0.431 0.665 0.422
O12 0.651 0.307 0.104
O13 0.050 0.484 0.849
O14 0.363 0.404 0.782
O15 0.904 0.255 0.527
O16 0.354 0.810 0.672
O17 0.637 0.596 0.218
O18 0.569 0.335 0.578
O19 0.658 0.276 0.778
O20 0.278 0.952 0.928
O21 0.001 0.241 0.048
O22 0.096 0.745 0.473
O23 0.348 0.100 0.786
O24 0.699 0.091 0.863
O25 0.722 0.048 0.072
O26 0.213 0.320 0.410
O27 0.646 0.190 0.328
O28 0.652 0.900 0.214
O29 0.169 0.096 0.478
O30 0.342 0.724 0.222
Ca1 0.012 0.176 0.721
Ca2 0.988 0.824 0.279
Ca3 0.327 0.184 0.169
Ca4 0.673 0.816 0.831
B1 0.081 0.404 0.125
B2 0.062 0.192 0.420
B3 0.919 0.596 0.875
B4 0.753 0.060 0.220
B5 0.558 0.157 0.810
B6 0.579 0.391 0.740
B7 0.735 0.468 0.156
B8 0.290 0.738 0.521
B9 0.421 0.609 0.260
B10 0.938 0.808 0.580
B11 0.710 0.262 0.479
B12 0.772 0.173 0.026
B13 0.265 0.532 0.844
B14 0.247 0.940 0.780
B15 0.228 0.827 0.974
B16 0.442 0.843 0.190
H1 0.318 0.142 0.503
H2 0.682 0.858 0.497
H3 0.321 0.375 0.492
H4 0.679 0.625 0.508

=====

8.
# CeMgSe3, relaxed, DFT GGA-PBE
# relative energy among the computed polymorphs	0.84	eV per formula unit
# space-group type	C2/m
# magnetization	0.00	μB per cell
# energy	-4.811	eV/atom
data_CeMgSe3
_symmetry_space_group_name_H-M 'P 1'
_symmetry_Int_Tables_number 1
_cell_length_a 7.023
_cell_length_b 7.023
_cell_length_c 7.170
_cell_angle_alpha 72.56
_cell_angle_beta 72.56
_cell_angle_gamma 108.94
loop_
_symmetry_equiv_pos_as_xyz
'x,y,z'
loop_
_atom_site_label
_atom_site_fract_x
_atom_site_fract_y
_atom_site_fract_z
Se1 0.938 0.240 0.182
Se2 0.760 0.062 0.818
Se3 0.062 0.760 0.818
Se4 0.435 0.435 0.287
Se5 0.240 0.938 0.182
Se6 0.565 0.565 0.713
Ce1 0.799 0.799 0.248
Ce2 0.201 0.201 0.752
Mg1 0.676 0.324 0.000
Mg2 0.324 0.676 0.000

=====

What is the formula in the fourth record? Sb2BrF15

=====

What did the eighth record say?
# CeMgSe3, relaxed, DFT GGA-PBE
# relative energy among the computed polymorphs	0.84	eV per formula unit
# space-group type	C2/m
# magnetization	0.00	μB per cell
# energy	-4.811	eV/atom
data_CeMgSe3
_symmetry_space_group_name_H-M 'P 1'
_symmetry_Int_Tables_number 1
_cell_length_a 7.023
_cell_length_b 7.023
_cell_length_c 7.170
_cell_angle_alpha 72.56
_cell_angle_beta 72.56
_cell_angle_gamma 108.94
loop_
_symmetry_equiv_pos_as_xyz
'x,y,z'
loop_
_atom_site_label
_atom_site_fract_x
_atom_site_fract_y
_atom_site_fract_z
Se1 0.938 0.240 0.182
Se2 0.760 0.062 0.818
Se3 0.062 0.760 0.818
Se4 0.435 0.435 0.287
Se5 0.240 0.938 0.182
Se6 0.565 0.565 0.713
Ce1 0.799 0.799 0.248
Ce2 0.201 0.201 0.752
Mg1 0.676 0.324 0.000
Mg2 0.324 0.676 0.000

=====

What is the energy in the seventh record? -7.582 eV/atom